Entry 1:
This record from Materials Project describes crystalline Na3AlP2 at its relaxed geometry. The functional is r²SCAN.

Calculated values
E ... -6.55 eV per atom
Magnetization ... 0.00 μB per atom

a b c (Å): 6.7754 13.1479 5.9870
angles (deg): 90.00 90.00 90.00
Space group Ibam (No. 72)
One atom of each set of equivalent atoms:
Na: 0.0000 0.0000 0.2500
Na: 0.1842 0.3083 0.0000
Al: 0.0000 0.5000 0.2500
P: 0.1977 0.3988 0.5000

***

Entry 2:
This record from Materials Project describes crystalline Na3AlS3 at its relaxed geometry. The functional is r²SCAN.

Calculated values
E ... -7.33 eV per atom
Magnetization ... 0.00 μB per atom

a b c (Å): 13.5994 12.0199 7.5994
angles (deg): 90.00 98.93 90.00
Space group P2_1/c (No. 14)
One atom of each set of equivalent atoms:
Na: 0.0137 0.2478 0.0052
Na: 0.1941 0.5171 0.5819
Na: 0.2402 0.6929 0.0341
Na: 0.2436 0.1734 0.4965
Na: 0.3647 0.0868 0.8889
Na: 0.4742 0.7373 0.9192
Al: 0.0734 0.5067 0.1741
Al: 0.4343 0.0215 0.3199
S: 0.0974 0.5029 0.8810
S: 0.1234 0.6673 0.2977
S: 0.1464 0.1412 0.8101
S: 0.3702 0.1849 0.2379
S: 0.3873 0.6101 0.6204
S: 0.3960 0.5327 0.0905

***

Entry 3:
This record from Materials Project describes crystalline Na7Al2Sb5 at its relaxed geometry. The functional is r²SCAN.

Calculated values
E ... -12.44 eV per atom
Magnetization ... 0.00 μB per atom

a b c (Å): 7.6896 13.6217 8.1749
angles (deg): 90.00 117.99 90.00
Space group P2_1/m (No. 11)
One atom of each set of equivalent atoms:
Na: 0.0607 0.2500 0.2607
Na: 0.2674 0.2500 0.8545
Na: 0.3080 0.5768 0.8830
Na: 0.3902 0.0749 0.5834
Na: 0.4009 0.7500 0.5956
Al: 0.0876 0.5885 0.1609
Sb: 0.0303 0.6016 0.4641
Sb: 0.2767 0.0789 0.1502
Sb: 0.3029 0.7500 0.1615

***

Entry 4:
This record from Materials Project describes crystalline Na3AlTe3 at its relaxed geometry. The functional is r²SCAN.

Calculated values
E ... -14.36 eV per atom
Magnetization ... 0.00 μB per atom

a b c (Å): 8.0441 7.7546 16.1420
angles (deg): 90.00 119.47 90.00
Space group P2_1/c (No. 14)
One atom of each set of equivalent atoms:
Na: 0.0529 0.0202 0.2782
Na: 0.2768 0.0025 0.1040
Na: 0.3176 0.5008 0.1014
Al: 0.3350 0.6416 0.4179
Te: 0.0433 0.7410 0.9259
Te: 0.3425 0.2036 0.9249
Te: 0.3440 0.7440 0.2681

***

Entry 5:
This record from Materials Project describes crystalline NbAl3 at its relaxed geometry. The functional is r²SCAN.

Calculated values
E ... -11.73 eV per atom
Magnetization ... 0.00 μB per atom

a b c (Å): 3.8340 3.8340 8.5849
angles (deg): 90.00 90.00 90.00
Space group I4/mmm (No. 139)
One atom of each set of equivalent atoms:
Nb: 0.0000 0.0000 0.0000
Al: 0.0000 0.0000 0.5000
Al: 0.0000 0.5000 0.2500

***

Entry 6:
This record from Materials Project describes crystalline Nb2Al at its relaxed geometry. The functional is r²SCAN.

Calculated values
E ... -19.08 eV per atom
Magnetization ... 0.00 μB per atom

a b c (Å): 9.9922 9.9922 5.1838
angles (deg): 90.00 90.00 90.00
Space group P4_2/mnm (No. 136)
One atom of each set of equivalent atoms:
Nb: 0.0352 0.3722 0.0000
Nb: 0.1035 0.1035 0.0000
Nb: 0.1814 0.8186 0.2475
Al: 0.0000 0.0000 0.5000
Al: 0.0671 0.2613 0.5000

***

Entry 7:
This record from Materials Project describes crystalline Nd6Nb4Al43 at its relaxed geometry. The functional is r²SCAN.

Calculated values
E ... -11.02 eV per atom
Magnetization ... 0.00 μB per atom

a b c (Å): 11.1299 11.1299 17.9811
angles (deg): 90.00 90.00 120.00
Space group P6_3/mcm (No. 193)
One atom of each set of equivalent atoms:
Nd: 0.0000 0.4698 0.0956
Nb: 0.0000 0.0000 0.0000
Nb: 0.0000 0.2721 0.2500
Al: 0.0000 0.1469 0.7500
Al: 0.0000 0.1577 0.1158
Al: 0.0000 0.2524 0.5300
Al: 0.1541 0.5556 0.2500
Al: 0.1576 0.3935 0.6643
Al: 0.2475 0.4949 0.0000
Al: 0.3333 0.6667 0.1256

***

Entry 8:
This record from Materials Project describes crystalline NbAlO4 at its relaxed geometry. The functional is r²SCAN.

Calculated values
E ... -12.24 eV per atom
Magnetization ... 0.00 μB per atom

a b c (Å): 12.1827 3.7860 6.5124
angles (deg): 90.00 107.77 90.00
Space group C2/m (No. 12)
One atom of each set of equivalent atoms:
Nb: 0.1049 0.0000 0.2377
Al: 0.2024 0.0000 0.8250
O: 0.0582 0.0000 0.8629
O: 0.1410 0.0000 0.5294
O: 0.1441 0.5000 0.2032
O: 0.2365 0.5000 0.8592

***

Entry 9:
This record from Materials Project describes crystalline NbAlPb2O6 at its relaxed geometry. The functional is r²SCAN.

Calculated values
E ... -20.30 eV per atom
Magnetization ... 0.00 μB per atom

a b c (Å): 7.8729 7.8729 7.8729
angles (deg): 90.00 90.00 90.00
Space group Fm-3m (No. 225)
One atom of each set of equivalent atoms:
Nb: 0.0000 0.0000 0.0000
Al: 0.0000 0.0000 0.5000
Pb: 0.2500 0.2500 0.2500
O: 0.0000 0.0000 0.2557

***

Entry 10:
This record from Materials Project describes crystalline Ti3NbAl2 at its relaxed geometry. The functional is r²SCAN.

Calculated values
E ... -13.20 eV per atom
Magnetization ... 0.00 μB per atom

a b c (Å): 4.5845 4.5845 5.4676
angles (deg): 90.00 90.00 120.00
Space group P-3m1 (No. 164)
One atom of each set of equivalent atoms:
Ti: 0.0000 0.0000 0.0000
Ti: 0.3333 0.6667 0.7283
Nb: 0.0000 0.0000 0.5000
Al: 0.3333 0.6667 0.2335

***

Entry 11:
This record from Materials Project describes crystalline NbAlZn at its relaxed geometry. The functional is r²SCAN.

Calculated values
E ... -13.86 eV per atom
Magnetization ... 0.00 μB per atom

a b c (Å): 8.3130 5.0737 8.6688
angles (deg): 90.00 90.00 90.00
Space group Amm2 (No. 38)
One atom of each set of equivalent atoms:
Nb: 0.1853 0.0000 0.0000
Nb: 0.3090 0.0000 0.3285
Al: 0.0000 0.2435 0.2543
Al: 0.2579 0.0000 0.6622
Zn: 0.0000 0.0000 0.4983
Zn: 0.5000 0.0000 0.8371
Zn: 0.5000 0.2401 0.0775

***

Entry 12:
This record from Materials Project describes crystalline Nd3Al at its relaxed geometry. The functional is r²SCAN.

Calculated values
E ... -23.95 eV per atom
Magnetization ... 0.00 μB per atom
Distance to the lowest polymorph of the same formula ... 23.3 meV per atom

a b c (Å): 4.8813 4.8813 4.8813
angles (deg): 90.00 90.00 90.00
Space group Pm-3m (No. 221)
One atom of each set of equivalent atoms:
Nd: 0.0000 0.0000 0.5000
Al: 0.5000 0.5000 0.5000

***

Entry 13:
This record from Materials Project describes crystalline NdAl2 at its relaxed geometry. The functional is r²SCAN.

Calculated values
E ... -14.85 eV per atom
Magnetization ... 0.00 μB per atom

a b c (Å): 8.0175 8.0175 8.0175
angles (deg): 90.00 90.00 90.00
Space group Fd-3m (No. 227, origin choice 2)
One atom of each set of equivalent atoms:
Nd: 0.1250 0.1250 0.1250
Al: 0.0000 0.0000 0.5000

***

Entry 14:
This record from Materials Project describes crystalline NdAl4 at its relaxed geometry. The functional is r²SCAN.

Calculated values
E ... -11.60 eV per atom
Magnetization ... 0.00 μB per atom

a b c (Å): 4.2422 4.2422 11.3759
angles (deg): 90.00 90.00 90.00
Space group I4/mmm (No. 139)
One atom of each set of equivalent atoms:
Nd: 0.0000 0.0000 0.0000
Al: 0.0000 0.0000 0.3886
Al: 0.0000 0.5000 0.2500